[1]
# PBE-GGA LiYP4O12, optimized geometry
data_LiYP4O12
_symmetry_space_group_name_H-M 'C 1 2/c 1'
_symmetry_Int_Tables_number 15
_symmetry_space_group_name_Hall '-C 2yc'
_cell_length_a 16.4483
_cell_length_b 7.1321
_cell_length_c 9.6906
_cell_angle_alpha 90.00
_cell_angle_beta 126.06
_cell_angle_gamma 90.00
loop_
_atom_site_label
_atom_site_fract_x
_atom_site_fract_y
_atom_site_fract_z
Li1 0.0000 0.2058 0.2500
Y1 0.0000 0.2969 0.7500
P1 0.1373 0.0513 0.6159
P2 0.1460 0.3493 0.1945
O1 0.0661 0.0033 0.4286
O2 0.0716 0.4158 0.2260
O3 0.1122 0.2129 0.6838
O4 0.1265 0.3831 0.0247
O5 0.1566 0.1263 0.2336
O6 0.2451 0.0792 0.6504
# Total energy after the MP2020 corrections in eV/atom: -7.891
# DFT formation energy in eV per atom: -2.924
# Theoretical density in g/cm³: 2.98
# Energy in eV per cell: -535.2



[2]
# PBE-GGA DyH3, optimized geometry
data_DyH3
_symmetry_space_group_name_H-M 'P -3 m 1'
_symmetry_Int_Tables_number 164
_symmetry_space_group_name_Hall '-P 3 2"'
_cell_length_a 3.8360
_cell_length_b 3.8360
_cell_length_c 4.2861
_cell_angle_alpha 90.00
_cell_angle_beta 90.00
_cell_angle_gamma 120.00
loop_
_atom_site_label
_atom_site_fract_x
_atom_site_fract_y
_atom_site_fract_z
Dy1 0.0000 0.0000 0.0000
H1 0.0000 0.0000 0.5000
H2 0.3333 0.6667 0.0439
# Total energy after the MP2020 corrections in eV/atom: -4.188
# DFT formation energy in eV per atom: -0.492
# Theoretical density in g/cm³: 5.03
# Energy in eV per cell: -16.2



[3]
# PBE-GGA La3Mg2MoS8, optimized geometry
data_La3Mg2MoS8
_symmetry_space_group_name_H-M 'R -3 m'
_symmetry_Int_Tables_number 166
_symmetry_space_group_name_Hall '-R 3 2"'
_cell_length_a 8.1284
_cell_length_b 8.1284
_cell_length_c 19.1305
_cell_angle_alpha 90.00
_cell_angle_beta 90.00
_cell_angle_gamma 120.00
loop_
_atom_site_label
_atom_site_fract_x
_atom_site_fract_y
_atom_site_fract_z
La1 0.0000 0.5000 0.0000
Mg1 0.0000 0.0000 0.1256
Mo1 0.0000 0.0000 0.5000
S1 0.0000 0.0000 0.2519
S2 0.0219 0.5110 0.2410
# Total energy after the MP2020 corrections in eV/atom: -6.213
# DFT formation energy in eV per atom: -1.788
# Theoretical density in g/cm³: 3.72
# Energy in eV per cell: -248.9